Here is a geometry-optimized Ta4Co4Si7 structure from Materials Project. Energies are from PBE-GGA.

Unit cell a=9.2148 b=9.2148 c=9.2148 alpha=94.19 beta=94.19 gamma=148.65
Closest atoms and distances in Å follow each position.
Element x y z (fractional)
Ta  0.1337  0.1337  0.2675  7 Si 2.64-2.82
Ta  0.8663  0.8663  0.7325  7 Si 2.64-2.82
Ta  0.8663  0.1337  0.0000  7 Si 2.64-2.82
Ta  0.1337  0.8663  0.0000  7 Si 2.64-2.82
Ta  0.5000  0.3101  0.8101  7 Si 2.63-2.83
Ta  0.5000  0.6899  0.1899  7 Si 2.63-2.83
Ta  0.6899  0.5000  0.1899  7 Si 2.63-2.83
Ta  0.3101  0.5000  0.8101  7 Si 2.63-2.83
Co  0.3986  0.8986  0.7973  6 Si 2.31-2.35, 2 Co 2.49
Co  0.1014  0.6014  0.2027  6 Si 2.31-2.35, 2 Co 2.49
Co  0.1014  0.8986  0.5000  6 Si 2.31-2.35, 2 Co 2.49
Co  0.3986  0.6014  0.5000  6 Si 2.31-2.35, 2 Co 2.49
Co  0.6014  0.3986  0.5000  6 Si 2.31-2.35, 2 Co 2.49
Co  0.8986  0.1014  0.5000  6 Si 2.31-2.35, 2 Co 2.49
Co  0.8986  0.3986  0.7973  6 Si 2.31-2.35, 2 Co 2.49
Co  0.6014  0.1014  0.2027  6 Si 2.31-2.35, 2 Co 2.49
Si  0.5000  0.0946  0.5946  4 Co 2.34, 1 Si 2.37
Si  0.5000  0.9054  0.4054  4 Co 2.34, 1 Si 2.37
Si  0.9054  0.5000  0.4054  4 Co 2.34, 1 Si 2.37
Si  0.0946  0.5000  0.5946  4 Co 2.34, 1 Si 2.37
Si  0.7512  0.7512  0.0000  2 Si 2.48-2.50, 8 Ta 2.68-2.69
Si  0.2488  0.2488  0.0000  2 Si 2.48-2.50, 8 Ta 2.68-2.69
Si  0.2911  0.2911  0.5822  4 Co 2.31
Si  0.7089  0.7089  0.4178  4 Co 2.31
Si  0.7089  0.2911  0.0000  4 Co 2.31
Si  0.2911  0.7089  0.0000  4 Co 2.31
Si  0.0000  0.2965  0.2965  4 Co 2.35
Si  0.0000  0.7035  0.7035  4 Co 2.35
Si  0.7035  0.0000  0.7035  4 Co 2.35
Si  0.2965  0.0000  0.2965  4 Co 2.35

Energy relative to the elements ... -9.0 eV/f.u.
Electronic total energy ... -246.71 eV for the cell shown
ρ ... 9.80 g cm⁻³
Total magnetic moment ... 0.000 μB per formula unit



Here is a geometry-optimized Ca4IrO6 structure from Materials Project. Energies are from PBE-GGA.

Unit cell a=6.6104 b=6.6104 c=6.6104 alpha=90.98 beta=90.98 gamma=90.98
Closest atoms and distances in Å follow each position.
Element x y z (fractional)
Ca  0.6103  0.8897  0.2500  6 O 2.41-2.51
Ca  0.8897  0.2500  0.6103  6 O 2.41-2.51
Ca  0.7500  0.7500  0.7500  6 O 2.35
Ca  0.2500  0.2500  0.2500  6 O 2.35
Ca  0.7500  0.3897  0.1103  6 O 2.41-2.51
Ca  0.1103  0.7500  0.3897  6 O 2.41-2.51
Ca  0.3897  0.1103  0.7500  6 O 2.41-2.51
Ca  0.2500  0.6103  0.8897  6 O 2.41-2.51
Ir  0.0000  0.0000  0.0000  6 O 2.05
Ir  0.5000  0.5000  0.5000  6 O 2.05
O  0.5713  0.4450  0.7966  1 Ir 2.05
O  0.7966  0.5713  0.4450  1 Ir 2.05
O  0.4450  0.7966  0.5713  1 Ir 2.05
O  0.9287  0.7034  0.0550  1 Ir 2.05
O  0.0550  0.9287  0.7034  1 Ir 2.05
O  0.7034  0.0550  0.9287  1 Ir 2.05
O  0.4287  0.5550  0.2034  1 Ir 2.05
O  0.2034  0.4287  0.5550  1 Ir 2.05
O  0.5550  0.2034  0.4287  1 Ir 2.05
O  0.0713  0.2966  0.9450  1 Ir 2.05
O  0.2966  0.9450  0.0713  1 Ir 2.05
O  0.9450  0.0713  0.2966  1 Ir 2.05

Energy relative to the elements ... -30.1 eV/f.u.
Electronic total energy ... -145.06 eV for the cell shown
ρ ... 5.16 g cm⁻³
Total magnetic moment ... 0.999 μB per formula unit



Here is a geometry-optimized Rb3Sm structure from Materials Project. Energies are from PBE-GGA.

Unit cell a=7.2542 b=7.2542 c=7.2542 alpha=60.00 beta=60.00 gamma=60.00
Closest atoms and distances in Å follow each position.
Element x y z (fractional)
Rb  0.2500  0.2500  0.2500  4 Rb 4.44, 4 Sm 4.44
Rb  0.7500  0.7500  0.7500  4 Rb 4.44, 4 Sm 4.44
Rb  0.5000  0.5000  0.5000  8 Rb 4.44
Sm  0.0000  0.0000  0.0000  8 Rb 4.44

Energy relative to the elements ... 2.5 eV/f.u.
Electronic total energy ... -5.14 eV for the cell shown
ρ ... 2.50 g cm⁻³
Total magnetic moment ... 2.035 μB per formula unit